Crystalline HAuC4N4O2 at its relaxed geometry. Source: the Materials Project database, functional PBE.

Structure (CIF):
```
data_HAuC4N4O2
_cell_length_a 6.4317
_cell_length_b 8.8840
_cell_length_c 7.3911
_cell_angle_alpha 90.00
_cell_angle_beta 91.86
_cell_angle_gamma 90.00
_space_group_name_H-M_alt 'P 1 21/c 1'
_space_group_IT_number 14
_space_group_name_Hall '-P 2ybc'
loop_
_atom_site_label
_atom_site_type_symbol
_atom_site_fract_x
_atom_site_fract_y
_atom_site_fract_z
_atom_site_occupancy
H1 H 0.0000 0.0000 0.0000 1
Au1 Au 0.5000 0.0000 0.5000 1
C1 C 0.2662 0.1482 0.4612 1
C2 C 0.3709 0.5781 0.2258 1
N1 N 0.1328 0.2353 0.4382 1
N2 N 0.3021 0.6335 0.3544 1
O1 O 0.1136 0.5861 0.5898 1
```

- size of the total moment (μB per formula unit) = 4.0

---

Crystalline Li7P3S11 at its relaxed geometry. Source: the Materials Project database, functional PBE.

Structure (CIF):
```
data_Li7P3S11
_cell_length_a 6.1888
_cell_length_b 12.6279
_cell_length_c 12.6731
_cell_angle_alpha 107.48
_cell_angle_beta 103.55
_cell_angle_gamma 101.86
_space_group_name_H-M_alt 'P -1'
_space_group_IT_number 2
_space_group_name_Hall '-P 1'
loop_
_atom_site_label
_atom_site_type_symbol
_atom_site_fract_x
_atom_site_fract_y
_atom_site_fract_z
_atom_site_occupancy
Li1 Li 0.0141 0.3190 0.3200 1
Li2 Li 0.1373 0.6173 0.8872 1
Li3 Li 0.2135 0.0356 0.7542 1
Li4 Li 0.2645 0.3317 0.8961 1
Li5 Li 0.3036 0.8213 0.2945 1
Li6 Li 0.3765 0.6568 0.4923 1
Li7 Li 0.4234 0.1353 0.1213 1
P1 P 0.1233 0.8329 0.0560 1
P2 P 0.1695 0.2115 0.5456 1
P3 P 0.4882 0.5245 0.7224 1
S1 S 0.0922 0.1836 0.6828 1
S2 S 0.1054 0.8368 0.6013 1
S3 S 0.1447 0.6829 0.0874 1
S4 S 0.1723 0.8233 0.8990 1
S5 S 0.2038 0.5021 0.2950 1
S6 S 0.2055 0.1543 0.9487 1
S7 S 0.2190 0.3957 0.5688 1
S8 S 0.3638 0.9712 0.1965 1
S9 S 0.4295 0.6686 0.6929 1
S10 S 0.4382 0.5184 0.8722 1
S11 S 0.4440 0.1598 0.5170 1
```

- size of the total moment (μB per formula unit) = 0.0

---

Crystalline Pr4FeS7 at its relaxed geometry. Source: the Materials Project database, functional PBE.

Structure (CIF):
```
data_Pr4FeS7
_cell_length_a 9.9291
_cell_length_b 6.9976
_cell_length_c 9.9496
_cell_angle_alpha 90.00
_cell_angle_beta 119.93
_cell_angle_gamma 90.00
_space_group_name_H-M_alt 'P 1 21 1'
_space_group_IT_number 4
_space_group_name_Hall 'P 2yb'
loop_
_atom_site_label
_atom_site_type_symbol
_atom_site_fract_x
_atom_site_fract_y
_atom_site_fract_z
_atom_site_occupancy
Pr1 Pr 0.1249 0.0000 0.2808 1
Pr2 Pr 0.1632 0.9555 0.8334 1
Pr3 Pr 0.2807 0.5008 0.6554 1
Pr4 Pr 0.3443 0.5008 0.1244 1
Fe1 Fe 0.4981 0.7936 0.5015 1
S1 S 0.0104 0.7410 0.5729 1
S2 S 0.0600 0.7381 0.9895 1
S3 S 0.1674 0.3398 0.8331 1
S4 S 0.2665 0.6118 0.3693 1
S5 S 0.3719 0.1107 0.5999 1
S6 S 0.3984 0.1115 0.2674 1
S7 S 0.4251 0.7432 0.9375 1
```

- size of the total moment (μB per formula unit) = 4.0

---

Crystalline ZrP at its relaxed geometry. Source: the Materials Project database, functional PBE.

Structure (CIF):
```
data_ZrP
_cell_length_a 3.7074
_cell_length_b 3.7074
_cell_length_c 12.6345
_cell_angle_alpha 90.00
_cell_angle_beta 90.00
_cell_angle_gamma 120.00
_space_group_name_H-M_alt 'P 63/m m c'
_space_group_IT_number 194
_space_group_name_Hall '-P 6c 2c'
loop_
_atom_site_label
_atom_site_type_symbol
_atom_site_fract_x
_atom_site_fract_y
_atom_site_fract_z
_atom_site_occupancy
Zr1 Zr 0.3333 0.6667 0.1157 1
P1 P 0.0000 0.0000 0.0000 1
P2 P 0.3333 0.6667 0.7500 1
```

---

| no. | energy of formation from the pure elements (eV per atom) |
| --- | --- |
| 1 | 0.82 |
| 2 | -1.09 |
| 3 | -1.92 |
| 4 | -1.37 |